# NdN GGA-PBE optimized geometry
# ΔE_f: -1.535 eV/atom
data_NdN
_chemical_formula_sum 'Nd4 N4'
_symmetry_space_group_name_H-M 'F m -3 m'
_symmetry_Int_Tables_number 225
_symmetry_space_group_name_Hall '-F 4 2 3'
_cell_length_a 5.165
_cell_length_b 5.165
_cell_length_c 5.165
_cell_angle_alpha 90.00
_cell_angle_beta 90.00
_cell_angle_gamma 90.00
loop_
_atom_site_label
_atom_site_type_symbol
_atom_site_fract_x
_atom_site_fract_y
_atom_site_fract_z
Nd1 Nd 0.000 0.000 0.000
N1 N 0.000 0.000 0.500

***

# NdZrNO2 GGA-PBE optimized geometry
# ΔE_f: -2.936 eV/atom
# Total moment: 0.0000 μB/atom
data_NdZrNO2
_chemical_formula_sum 'Nd4 Zr4 N4 O8'
_symmetry_space_group_name_H-M 'P 1 21/c 1'
_symmetry_Int_Tables_number 14
_symmetry_space_group_name_Hall '-P 2ybc'
_cell_length_a 5.766
_cell_length_b 5.955
_cell_length_c 9.986
_cell_angle_alpha 90.00
_cell_angle_beta 124.57
_cell_angle_gamma 90.00
loop_
_atom_site_label
_atom_site_type_symbol
_atom_site_fract_x
_atom_site_fract_y
_atom_site_fract_z
Nd1 Nd 0.221 0.051 0.242
Zr1 Zr 0.000 0.000 0.500
Zr2 Zr 0.500 0.000 0.000
N1 N 0.145 0.204 0.942
O1 O 0.227 0.707 0.934
O2 O 0.366 0.041 0.750

***

# Nd4Se3N2 GGA-PBE optimized geometry
# ΔE_f: -1.807 eV/atom
data_Nd4Se3N2
_chemical_formula_sum 'Nd16 Se12 N8'
_symmetry_space_group_name_H-M 'C 1 2/c 1'
_symmetry_Int_Tables_number 15
_symmetry_space_group_name_Hall '-C 2yc'
_cell_length_a 13.179
_cell_length_b 10.229
_cell_length_c 6.499
_cell_angle_alpha 90.00
_cell_angle_beta 90.20
_cell_angle_gamma 90.00
loop_
_atom_site_label
_atom_site_type_symbol
_atom_site_fract_x
_atom_site_fract_y
_atom_site_fract_z
Nd1 Nd 0.127 0.184 0.470
Nd2 Nd 0.165 0.420 0.928
Se1 Se 0.000 0.403 0.250
Se2 Se 0.115 0.131 0.965
N1 N 0.206 0.376 0.585

***

# Nd3Se3N GGA-PBE optimized geometry
# ΔE_f: -1.842 eV/atom
data_Nd3Se3N
_chemical_formula_sum 'Nd12 Se12 N4'
_symmetry_space_group_name_H-M 'P n m a'
_symmetry_Int_Tables_number 62
_symmetry_space_group_name_Hall '-P 2ac 2n'
_cell_length_a 12.723
_cell_length_b 4.154
_cell_length_c 13.505
_cell_angle_alpha 90.00
_cell_angle_beta 90.00
_cell_angle_gamma 90.00
loop_
_atom_site_label
_atom_site_type_symbol
_atom_site_fract_x
_atom_site_fract_y
_atom_site_fract_z
Nd1 Nd 0.029 0.250 0.155
Nd2 Nd 0.087 0.250 0.632
Nd3 Nd 0.221 0.250 0.868
Se1 Se 0.079 0.250 0.392
Se2 Se 0.138 0.750 0.002
Se3 Se 0.238 0.750 0.698
N1 N 0.055 0.250 0.798

***

# NdSi3N5 GGA-PBE optimized geometry
# ΔE_f: -1.431 eV/atom
data_NdSi3N5
_chemical_formula_sum 'Nd4 Si12 N20'
_symmetry_space_group_name_H-M 'P 21 21 21'
_symmetry_Int_Tables_number 19
_symmetry_space_group_name_Hall 'P 2ac 2ab'
_cell_length_a 4.803
_cell_length_b 7.862
_cell_length_c 11.303
_cell_angle_alpha 90.00
_cell_angle_beta 90.00
_cell_angle_gamma 90.00
loop_
_atom_site_label
_atom_site_type_symbol
_atom_site_fract_x
_atom_site_fract_y
_atom_site_fract_z
Nd1 Nd 0.003 0.060 0.171
Si1 Si 0.015 0.162 0.839
Si2 Si 0.017 0.293 0.583
Si3 Si 0.024 0.467 0.041
N1 N 0.047 0.343 0.920
N2 N 0.169 0.206 0.705
N3 N 0.169 0.388 0.169
N4 N 0.185 0.982 0.907
N5 N 0.205 0.649 0.989

***

# Nd3SnN GGA-PBE optimized geometry
# ΔE_f: -1.022 eV/atom
data_Nd3SnN
_chemical_formula_sum 'Nd3 Sn1 N1'
_symmetry_space_group_name_H-M 'P m -3 m'
_symmetry_Int_Tables_number 221
_symmetry_space_group_name_Hall '-P 4 2 3'
_cell_length_a 5.014
_cell_length_b 5.014
_cell_length_c 5.014
_cell_angle_alpha 90.00
_cell_angle_beta 90.00
_cell_angle_gamma 90.00
loop_
_atom_site_label
_atom_site_type_symbol
_atom_site_fract_x
_atom_site_fract_y
_atom_site_fract_z
Nd1 Nd 0.000 0.000 0.500
Sn1 Sn 0.500 0.500 0.500
N1 N 0.000 0.000 0.000

***

# Ni3N GGA-PBE optimized geometry
# ΔE_f: -0.060 eV/atom
data_Ni3N
_chemical_formula_sum 'Ni6 N2'
_symmetry_space_group_name_H-M 'P 63 2 2'
_symmetry_Int_Tables_number 182
_symmetry_space_group_name_Hall 'P 6c 2c'
_cell_length_a 4.6011
_cell_length_b 4.6011
_cell_length_c 4.2939
_cell_angle_alpha 90.00
_cell_angle_beta 90.00
_cell_angle_gamma 120.00
loop_
_atom_site_label
_atom_site_type_symbol
_atom_site_fract_x
_atom_site_fract_y
_atom_site_fract_z
Ni1 Ni 0.0000 0.3294 0.0000
N1 N 0.3333 0.6667 0.2500

***

# Ni4RuN4 GGA-PBE optimized geometry
# ΔE_f: 0.198 eV/atom
# Total moment: 0.0000 μB/atom
data_Ni4RuN4
_chemical_formula_sum 'Ni8 Ru2 N8'
_symmetry_space_group_name_H-M 'P -1'
_symmetry_Int_Tables_number 2
_symmetry_space_group_name_Hall '-P 1'
_cell_length_a 4.727
_cell_length_b 4.773
_cell_length_c 8.603
_cell_angle_alpha 78.63
_cell_angle_beta 78.87
_cell_angle_gamma 79.62
loop_
_atom_site_label
_atom_site_type_symbol
_atom_site_fract_x
_atom_site_fract_y
_atom_site_fract_z
Ni1 Ni 0.137 0.173 0.403
Ni2 Ni 0.176 0.206 0.014
Ni3 Ni 0.181 0.701 0.201
Ni4 Ni 0.323 0.376 0.591
Ru1 Ru 0.323 0.843 0.781
N1 N 0.069 0.102 0.639
N2 N 0.204 0.606 0.992
N3 N 0.417 0.427 0.346
N4 N 0.477 0.939 0.122